1.
ScTlMo2O8 | PBE with a Hubbard U | optimized geometry

Lattice parameters (Å, degrees): 5.9019 5.9019 7.6519 90.00 90.00 120.00
Element x y z (fractional)
O: 0.1651 0.3302 0.8354
O: 0.8349 0.1651 0.1646
O: 0.3333 0.6667 0.5324
O: 0.3302 0.1651 0.1646
O: 0.6667 0.3333 0.4676
O: 0.8349 0.6698 0.1646
O: 0.6698 0.8349 0.8354
O: 0.1651 0.8349 0.8354
Mo: 0.3333 0.6667 0.7612
Mo: 0.6667 0.3333 0.2388
Tl: 0.0000 0.0000 0.5000
Sc: 0.0000 0.0000 0.0000

=====

2.
ScTlMo2O8 | PBE with a Hubbard U | optimized geometry

Lattice parameters (Å, degrees): 5.9154 9.0340 15.3293 90.00 90.00 90.00
Element x y z (fractional)
O: 0.2500 0.1036 0.6799
O: 0.9951 0.6067 0.2994
O: 0.9968 0.2715 0.0256
O: 0.0049 0.1067 0.2006
O: 0.7500 0.2986 0.8623
O: 0.7500 0.4872 0.4501
O: 0.2500 0.5128 0.5499
O: 0.4968 0.7285 0.9744
O: 0.5032 0.2715 0.0256
O: 0.9951 0.8933 0.7994
O: 0.7500 0.6374 0.6361
O: 0.7500 0.6036 0.8201
O: 0.4968 0.7715 0.4744
O: 0.5049 0.6067 0.2994
O: 0.5049 0.8933 0.7994
O: 0.9968 0.2285 0.5256
O: 0.2500 0.1374 0.8639
O: 0.4951 0.1067 0.2006
O: 0.0032 0.7715 0.4744
O: 0.7500 0.8964 0.3201
O: 0.7500 0.0128 0.9501
O: 0.2500 0.3964 0.1799
O: 0.4951 0.3933 0.7006
O: 0.2500 0.7986 0.6377
O: 0.0032 0.7285 0.9744
O: 0.0049 0.3933 0.7006
O: 0.2500 0.3626 0.3639
O: 0.2500 0.7014 0.1377
O: 0.5032 0.2285 0.5256
O: 0.2500 0.9872 0.0499
O: 0.7500 0.2014 0.3623
O: 0.7500 0.8626 0.1361
Sc: 0.2500 0.3066 0.6130
Sc: 0.7500 0.6934 0.3870
Sc: 0.7500 0.8066 0.8870
Sc: 0.2500 0.1934 0.1130
Tl: 0.2500 0.4386 0.8744
Tl: 0.7500 0.9386 0.6256
Tl: 0.2500 0.0614 0.3744
Tl: 0.7500 0.5614 0.1256
Mo: 0.7500 0.2901 0.4641
Mo: 0.2500 0.0022 0.7827
Mo: 0.7500 0.9978 0.2173
Mo: 0.2500 0.7099 0.5359
Mo: 0.7500 0.2099 0.9641
Mo: 0.7500 0.5022 0.7173
Mo: 0.2500 0.4978 0.2827
Mo: 0.2500 0.7901 0.0359

=====

Referenced to the most stable arrangement, the calculated values in eV/atom are 1 0.000; 2 0.011.